A relaxed PrEuZrMnO6 crystal. Source: the Materials Project, functional GGA+U.

Geometry as CIF:
```
data_PrEuZrMnO6
_cell_length_a 8.137
_cell_length_b 8.137
_cell_length_c 8.137
_cell_angle_alpha 90.00
_cell_angle_beta 90.00
_cell_angle_gamma 90.00
_symmetry_space_group_name_H-M 'F -4 3 m'
_symmetry_Int_Tables_number 216
_symmetry_space_group_name_Hall 'F -4 2 3'
loop_
_atom_site_label
_atom_site_type_symbol
_atom_site_fract_x
_atom_site_fract_y
_atom_site_fract_z
Pr1 Pr 0.000 0.000 0.000
Eu1 Eu 0.000 0.000 0.500
Zr1 Zr 0.250 0.250 0.750
Mn1 Mn 0.250 0.250 0.250
O1 O 0.004 0.250 0.250
```

Computed properties:
crystal system: cubic
total magnetization: 11.00 μB/f.u.
formation energy: -31.03 eV/f.u.

A relaxed Li2FeF4 crystal. Source: the Materials Project, functional GGA+U.

Geometry as CIF:
```
data_Li2FeF4
_cell_length_a 6.319
_cell_length_b 5.360
_cell_length_c 10.707
_cell_angle_alpha 90.00
_cell_angle_beta 112.56
_cell_angle_gamma 90.00
_symmetry_space_group_name_H-M 'P 1 21/c 1'
_symmetry_Int_Tables_number 14
_symmetry_space_group_name_Hall '-P 2ybc'
loop_
_atom_site_label
_atom_site_type_symbol
_atom_site_fract_x
_atom_site_fract_y
_atom_site_fract_z
Li1 Li 0.157 0.197 0.066
Li2 Li 0.229 0.738 0.309
Fe1 Fe 0.407 0.680 0.103
F1 F 0.149 0.622 0.449
F2 F 0.162 0.526 0.160
F3 F 0.351 0.505 0.726
F4 F 0.428 0.209 0.527
```

Computed properties:
crystal system: monoclinic
E above lowest polymorph: 0.48 eV/f.u.
total magnetization: 4.00 μB/f.u.
formation energy: -19.81 eV/f.u.

A relaxed DyVO3 crystal. Source: the Materials Project, functional GGA+U.

Geometry as CIF:
```
data_DyVO3
_cell_length_a 5.743
_cell_length_b 7.636
_cell_length_c 5.334
_cell_angle_alpha 90.00
_cell_angle_beta 90.00
_cell_angle_gamma 90.00
_symmetry_space_group_name_H-M 'P n m a'
_symmetry_Int_Tables_number 62
_symmetry_space_group_name_Hall '-P 2ac 2n'
loop_
_atom_site_label
_atom_site_type_symbol
_atom_site_fract_x
_atom_site_fract_y
_atom_site_fract_z
Dy1 Dy 0.070 0.250 0.020
V1 V 0.000 0.000 0.500
O1 O 0.046 0.750 0.381
O2 O 0.189 0.559 0.805
```

Computed properties:
crystal system: orthorhombic
formation energy: -16.49 eV/f.u.

Let's list volume in order: 13.47; 11.96; 11.70 A^3/atom.